# MnPH7O7 (PBE with a Hubbard U, optimized geometry)
# **Calculated density**: 2.3 g cm⁻³
# **E above lowest polymorph**: 0 kJ/mol of formula units
# **Total energy after the MP2020 corrections**: -6.276 eV per atom
# **E_form**: -1716 meV per atom
# **Magnetization**: 5.03 μB per formula unit
data_MnPH7O7
_cell_length_a 10.289
_cell_length_b 10.563
_cell_length_c 10.958
_cell_angle_alpha 90.00
_cell_angle_beta 90.00
_cell_angle_gamma 90.00
_symmetry_space_group_name_H-M 'P b c a'
_symmetry_Int_Tables_number 61
loop_
_symmetry_equiv_pos_as_xyz
'x,y,z'
'-x,-y,-z'
'-x+1/2,-y,z+1/2'
'x+1/2,y,-z+1/2'
'x+1/2,-y+1/2,-z'
'-x+1/2,y+1/2,z'
'-x,y+1/2,-z+1/2'
'x,-y+1/2,z+1/2'
loop_
_atom_site_label
_atom_site_fract_x
_atom_site_fract_y
_atom_site_fract_z
Mn1 0.091 0.199 0.249
P1 0.150 0.505 0.134
H1 0.023 0.650 0.496
H2 0.045 0.584 0.716
H3 0.105 0.512 0.935
H4 0.123 0.633 0.388
H5 0.156 0.674 0.672
H6 0.180 0.204 0.499
H7 0.236 0.171 0.939
O1 0.005 0.535 0.160
O2 0.030 0.635 0.407
O3 0.060 0.666 0.674
O4 0.174 0.140 0.647
O5 0.177 0.539 0.992
O6 0.196 0.246 0.419
O7 0.244 0.585 0.207

# MnP2H2O8 (PBE with a Hubbard U, optimized geometry)
# **Calculated density**: 2.7 g cm⁻³
# **Total energy after the MP2020 corrections**: -7.175 eV per atom
# **E_form**: -2071 meV per atom
# **Magnetization**: 3.00 μB per formula unit
data_MnP2H2O8
_cell_length_a 7.687
_cell_length_b 15.299
_cell_length_c 5.154
_cell_angle_alpha 90.00
_cell_angle_beta 98.64
_cell_angle_gamma 90.00
_symmetry_space_group_name_H-M 'P 1 21/c 1'
_symmetry_Int_Tables_number 14
loop_
_symmetry_equiv_pos_as_xyz
'x,y,z'
'-x,-y,-z'
'-x,y+1/2,-z+1/2'
'x,-y+1/2,z+1/2'
loop_
_atom_site_label
_atom_site_fract_x
_atom_site_fract_y
_atom_site_fract_z
Mn1 0.207 0.001 0.178
P1 0.138 0.124 0.660
P2 0.387 0.604 0.244
H1 0.006 0.740 0.011
H2 0.410 0.743 0.353
O1 0.010 0.207 0.657
O2 0.070 0.062 0.862
O3 0.103 0.088 0.379
O4 0.267 0.590 0.455
O5 0.321 0.562 0.983
O6 0.331 0.149 0.741
O7 0.385 0.707 0.191
O8 0.422 0.076 0.152

# Mn7P6H4O24 (PBE with a Hubbard U, optimized geometry)
# **Calculated density**: 3.4 g cm⁻³
# **Total energy after the MP2020 corrections**: -7.967 eV per atom
# **E_form**: -2383 meV per atom
data_Mn7P6H4O24
_cell_length_a 6.643
_cell_length_b 8.147
_cell_length_c 9.967
_cell_angle_alpha 104.45
_cell_angle_beta 108.97
_cell_angle_gamma 101.33
_symmetry_space_group_name_H-M 'P -1'
_symmetry_Int_Tables_number 2
loop_
_symmetry_equiv_pos_as_xyz
'x,y,z'
'-x,-y,-z'
loop_
_atom_site_label
_atom_site_fract_x
_atom_site_fract_y
_atom_site_fract_z
Mn1 0.000 0.000 0.000
Mn2 0.040 0.718 0.512
Mn3 0.287 0.815 0.285
Mn4 0.381 0.455 0.105
P1 0.083 0.583 0.822
P2 0.227 0.145 0.782
P3 0.408 0.229 0.385
H1 0.180 0.876 0.808
H2 0.418 0.497 0.598
O1 0.021 0.170 0.671
O2 0.053 0.544 0.655
O3 0.102 0.782 0.893
O4 0.124 0.536 0.168
O5 0.212 0.939 0.732
O6 0.221 0.187 0.942
O7 0.275 0.062 0.244
O8 0.280 0.296 0.479
O9 0.298 0.543 0.909
O10 0.381 0.800 0.510
O11 0.446 0.246 0.778
O12 0.488 0.383 0.321

# MnP2HO7 (PBE with a Hubbard U, optimized geometry)
# **Calculated density**: 3.0 g cm⁻³
# **Total energy after the MP2020 corrections**: -7.626 eV per atom
# **E_form**: -2352 meV per atom
data_MnP2HO7
_cell_length_a 5.040
_cell_length_b 12.819
_cell_length_c 8.703
_cell_angle_alpha 90.00
_cell_angle_beta 113.61
_cell_angle_gamma 90.00
_symmetry_space_group_name_H-M 'P 1 21/c 1'
_symmetry_Int_Tables_number 14
loop_
_symmetry_equiv_pos_as_xyz
'x,y,z'
'-x,-y,-z'
'-x,y+1/2,-z+1/2'
'x,-y+1/2,z+1/2'
loop_
_atom_site_label
_atom_site_fract_x
_atom_site_fract_y
_atom_site_fract_z
Mn1 0.134 0.126 0.005
P1 0.182 0.678 0.245
P2 0.400 0.035 0.750
H1 0.467 0.168 0.602
O1 0.067 0.151 0.205
O2 0.091 0.748 0.596
O3 0.192 0.098 0.802
O4 0.254 0.572 0.165
O5 0.309 0.511 0.601
O6 0.444 0.089 0.603
O7 0.463 0.711 0.389

# MnP2H8O10 (PBE with a Hubbard U, optimized geometry)
# **Calculated density**: 2.3 g cm⁻³
# **Total energy after the MP2020 corrections**: -6.457 eV per atom
# **E_form**: -1857 meV per atom
# **Magnetization**: 5.00 μB per formula unit
data_MnP2H8O10
_cell_length_a 5.469
_cell_length_b 10.240
_cell_length_c 8.768
_cell_angle_alpha 90.00
_cell_angle_beta 122.99
_cell_angle_gamma 90.00
_symmetry_space_group_name_H-M 'P 1 21/c 1'
_symmetry_Int_Tables_number 14
loop_
_symmetry_equiv_pos_as_xyz
'x,y,z'
'-x,-y,-z'
'-x,y+1/2,-z+1/2'
'x,-y+1/2,z+1/2'
loop_
_atom_site_label
_atom_site_fract_x
_atom_site_fract_y
_atom_site_fract_z
Mn1 0.000 0.000 0.000
P1 0.088 0.216 0.331
H1 0.120 0.718 0.015
H2 0.409 0.080 0.832
H3 0.415 0.542 0.226
H4 0.445 0.119 0.584
O1 0.023 0.672 0.362
O2 0.129 0.136 0.860
O3 0.136 0.666 0.119
O4 0.389 0.143 0.459
O5 0.475 0.539 0.713

# MnP2H4O4 (PBE with a Hubbard U, optimized geometry)
# **Calculated density**: 1.7 g cm⁻³
# **Total energy after the MP2020 corrections**: -6.287 eV per atom
# **E_form**: -1437 meV per atom
# **Magnetization**: 5.00 μB per formula unit
data_MnP2H4O4
_cell_length_a 21.1257
_cell_length_b 21.1257
_cell_length_c 8.2669
_cell_angle_alpha 90.00
_cell_angle_beta 90.00
_cell_angle_gamma 120.00
_symmetry_space_group_name_H-M 'R -3'
_symmetry_Int_Tables_number 148
_symmetry_space_group_name_Hall '-R 3'
loop_
_atom_site_label
_atom_site_fract_x
_atom_site_fract_y
_atom_site_fract_z
Mn1 0.0278 0.2945 0.3100
P1 0.0182 0.7823 0.0604
P2 0.0762 0.5494 0.2128
H1 0.0400 0.5001 0.3420
H2 0.0420 0.2124 0.8795
H3 0.0719 0.8869 0.6035
H4 0.0797 0.8464 0.1209
O1 0.0160 0.7154 0.1394
O2 0.0186 0.7859 0.8771
O3 0.0418 0.5982 0.1923
O4 0.0781 0.5073 0.0663